(1)
Density functional theory data (PBE-GGA) for a geometry-optimized Na4MgNbSi2PO12 structure. Values from VASP.

Structure (Quantum ESPRESSO input):
```
&SYSTEM
  ibrav = 0, nat = 126, ntyp = 6
/
ATOMIC_SPECIES
Na 22.99 Na.upf
Mg 24.30 Mg.upf
Nb 92.91 Nb.upf
Si 28.09 Si.upf
P 30.97 P.upf
O 16.00 O.upf
CELL_PARAMETERS angstrom
-5.879 -0.427 6.955
-0.193 -6.405 -6.485
14.545 -12.134 11.551
ATOMIC_POSITIONS crystal
Na 0.648 0.016 0.249
Na 0.378 0.363 0.242
Na 0.975 0.617 0.245
Na 0.637 0.622 0.742
Na 0.984 0.352 0.749
Na 0.383 0.025 0.745
Na 0.314 0.350 0.582
Na 0.044 0.697 0.576
Na 0.641 0.950 0.578
Na 0.303 0.956 0.076
Na 0.650 0.686 0.082
Na 0.050 0.359 0.078
Na 0.981 0.683 0.915
Na 0.711 0.030 0.909
Na 0.308 0.284 0.912
Na 0.970 0.289 0.409
Na 0.317 0.019 0.415
Na 0.716 0.692 0.412
Na 0.994 0.992 0.492
Na 0.008 0.006 0.992
Na 0.660 0.325 0.826
Na 0.675 0.340 0.326
Na 0.327 0.659 0.159
Na 0.341 0.673 0.659
Mg 0.995 0.996 0.351
Mg 0.004 0.005 0.851
Mg 0.661 0.329 0.684
Mg 0.671 0.339 0.184
Mg 0.328 0.663 0.018
Mg 0.337 0.672 0.518
Nb 0.998 0.001 0.647
Nb 0.999 0.002 0.147
Nb 0.665 0.334 0.981
Nb 0.666 0.335 0.481
Nb 0.332 0.668 0.314
Nb 0.332 0.668 0.814
Si 0.705 0.704 0.254
Si 0.999 0.294 0.254
Si 0.296 0.295 0.754
Si 0.706 0.001 0.754
Si 0.371 0.037 0.587
Si 0.666 0.627 0.587
Si 0.963 0.629 0.087
Si 0.373 0.334 0.087
Si 0.038 0.370 0.920
Si 0.332 0.961 0.920
Si 0.630 0.962 0.420
Si 0.039 0.668 0.420
P 0.290 0.998 0.252
P 0.002 0.710 0.752
P 0.957 0.332 0.586
P 0.668 0.043 0.086
P 0.623 0.665 0.919
P 0.335 0.377 0.419
O 0.210 0.024 0.308
O 0.820 0.790 0.311
O 0.982 0.185 0.312
O 0.210 0.180 0.811
O 0.976 0.790 0.808
O 0.815 0.018 0.812
O 0.803 0.969 0.693
O 0.166 0.196 0.693
O 0.029 0.828 0.695
O 0.804 0.834 0.193
O 0.031 0.197 0.193
O 0.172 0.971 0.195
O 0.877 0.358 0.642
O 0.487 0.123 0.644
O 0.648 0.518 0.645
O 0.877 0.513 0.144
O 0.642 0.123 0.142
O 0.482 0.352 0.145
O 0.469 0.303 0.026
O 0.833 0.530 0.027
O 0.696 0.161 0.029
O 0.470 0.167 0.527
O 0.697 0.531 0.526
O 0.839 0.304 0.529
O 0.544 0.691 0.975
O 0.153 0.456 0.978
O 0.315 0.851 0.979
O 0.544 0.847 0.478
O 0.309 0.456 0.475
O 0.149 0.685 0.479
O 0.136 0.636 0.360
O 0.500 0.863 0.360
O 0.363 0.494 0.362
O 0.137 0.500 0.860
O 0.364 0.864 0.860
O 0.506 0.637 0.862
O 0.019 0.833 0.413
O 0.820 0.995 0.413
O 0.188 0.197 0.411
O 0.005 0.180 0.913
O 0.167 0.981 0.913
O 0.803 0.812 0.911
O 0.963 0.161 0.587
O 0.184 0.032 0.588
O 0.844 0.816 0.588
O 0.968 0.816 0.088
O 0.839 0.037 0.087
O 0.184 0.156 0.088
O 0.686 0.166 0.746
O 0.487 0.328 0.747
O 0.855 0.531 0.744
O 0.672 0.513 0.247
O 0.834 0.314 0.246
O 0.469 0.145 0.244
O 0.629 0.494 0.921
O 0.851 0.366 0.922
O 0.511 0.150 0.921
O 0.634 0.149 0.422
O 0.506 0.371 0.421
O 0.850 0.489 0.421
O 0.352 0.499 0.080
O 0.153 0.662 0.080
O 0.521 0.864 0.077
O 0.338 0.847 0.580
O 0.501 0.648 0.580
O 0.136 0.479 0.577
O 0.296 0.828 0.254
O 0.518 0.699 0.255
O 0.178 0.483 0.255
O 0.301 0.482 0.755
O 0.172 0.704 0.754
O 0.517 0.822 0.755
```

Properties
Size of the total moment (μB per formula unit): 0.000

=====

(2)
Density functional theory data (PBE-GGA) for a geometry-optimized CeP12Ru4 structure. Values from VASP.

Structure (Quantum ESPRESSO input):
```
&SYSTEM
  ibrav = 0, nat = 17, ntyp = 3
/
ATOMIC_SPECIES
Ce 140.12 Ce.upf
P 30.97 P.upf
Ru 101.07 Ru.upf
CELL_PARAMETERS angstrom
-4.045 4.045 4.045
4.045 -4.045 4.045
4.045 4.045 -4.045
ATOMIC_POSITIONS crystal
Ce 0.000 0.000 0.000
P 0.856 0.644 0.500
P 0.856 0.356 0.212
P 0.144 0.644 0.788
P 0.356 0.500 0.144
P 0.500 0.144 0.356
P 0.144 0.356 0.500
P 0.644 0.788 0.144
P 0.212 0.856 0.356
P 0.644 0.500 0.856
P 0.788 0.144 0.644
P 0.356 0.212 0.856
P 0.500 0.856 0.644
Ru 0.000 0.000 0.500
Ru 0.000 0.500 0.000
Ru 0.500 0.000 0.000
Ru 0.500 0.500 0.500
```

=====

| no. | E_tot (eV for the cell shown) | formation energy (eV/atom) |
| --- | --- | --- |
| 1 | -861.136 | -2.8160 |
| 2 | -119.621 | -0.6841 |